Entry 1:
Density functional theory data (GGA+U) for an optimized crystal structure of LiFe2P2HO8.

**Total energy**: -6.753 eV per atom

a = 5.0268 Å, b = 8.6352 Å, c = 7.7820 Å
α = 89.99°, β = 104.77°, γ = 90.00°
With the nearest neighbours (Å) after each atom.
Atoms (fractional coordinates):
Fe: 0.8935 0.6540 0.3205  4 O 1.99-2.16
Fe: 0.3795 0.8426 0.8360  4 O 1.99-2.08
Fe: 0.6064 0.1540 0.1794  4 O 1.99-2.16
Fe: 0.1207 0.3425 0.6641  4 O 1.99-2.08
O: 0.4924 0.7036 0.1659  1 P 1.55
O: 0.6367 0.6712 0.8187  1 P 1.53
O: 0.5086 0.2954 0.8279  1 P 1.54
O: 0.0075 0.2035 0.3338  1 P 1.55
O: 0.8632 0.1713 0.6813  1 P 1.53
O: 0.7761 0.0655 0.9698  1 H 1.05
O: 0.0849 0.5316 0.8194  1 P 1.53
O: 0.3514 0.3293 0.1808  1 P 1.54
O: 0.1487 0.8292 0.3192  1 P 1.54
O: 0.8917 0.4594 0.1700  1 P 1.55
O: 0.9917 0.7953 0.6723  1 P 1.54
O: 0.2510 0.9497 0.0410  1 H 1.46, 1 P 1.60
O: 0.7238 0.5657 0.5301  1 H 1.05
O: 0.4147 0.0317 0.6806  1 P 1.53
O: 0.6085 0.9593 0.3301  1 P 1.55
O: 0.2491 0.4495 0.4590  1 H 1.46, 1 P 1.60
H: 0.5235 0.5191 0.5033  1 O 1.05
H: 0.9766 0.0191 0.9967  1 O 1.05
P: 0.1253 0.3561 0.2793  4 O 1.54-1.60
P: 0.3747 0.8561 0.2207  4 O 1.54-1.60
P: 0.6368 0.1457 0.7776  4 O 1.53-1.63
P: 0.8631 0.6457 0.7224  4 O 1.53-1.63
Li: 0.4916 0.4960 0.0029  6 O 2.12-2.33
Li: 0.0084 0.9960 0.4971  6 O 2.12-2.33



Entry 2:
Density functional theory data (GGA+U) for an optimized crystal structure of LiFePH2O5.

**Total energy**: -6.251 eV per atom

a = 5.1148 Å, b = 8.1611 Å, c = 11.1512 Å
α = 90.00°, β = 90.00°, γ = 90.00°
With the nearest neighbours (Å) after each atom.
Atoms (fractional coordinates):
O: 0.4953 0.4325 0.3066  1 P 1.56
O: 0.1473 0.3266 0.4505  1 P 1.55
O: 0.9953 0.9325 0.1934  1 P 1.56
O: 0.5736 0.4089 0.6664  1 P 1.56
O: 0.0688 0.1834 0.7269  1 P 1.55
O: 0.6473 0.8266 0.0495  1 P 1.55
O: 0.6870 0.0951 0.5175  2 H 0.98-0.99
O: 0.1473 0.1734 0.9505  1 P 1.55
O: 0.0736 0.5911 0.3336  1 P 1.56
O: 0.9953 0.5675 0.6934  1 P 1.56
O: 0.6870 0.4049 0.0175  2 H 0.98-0.99
O: 0.5688 0.8166 0.2731  1 P 1.55
O: 0.0688 0.3166 0.2269  1 P 1.55
O: 0.4953 0.0675 0.8066  1 P 1.56
O: 0.6473 0.6734 0.5495  1 P 1.55
O: 0.1870 0.5951 0.9825  2 H 0.98-0.99
O: 0.5688 0.6834 0.7731  1 P 1.55
O: 0.0736 0.9089 0.8336  1 P 1.56
O: 0.1870 0.9049 0.4825  2 H 0.98-0.99
O: 0.5736 0.0911 0.1664  1 P 1.56
H: 0.6502 0.1823 0.4595  1 O 0.98
H: 0.3641 0.9439 0.5024  1 O 0.99
H: 0.6502 0.3177 0.9595  1 O 0.98
H: 0.3641 0.5561 0.0024  1 O 0.99
H: 0.1502 0.6823 0.0405  1 O 0.98
H: 0.1502 0.8177 0.5405  1 O 0.98
H: 0.8641 0.4439 0.9976  1 O 0.99
H: 0.8641 0.0561 0.4976  1 O 0.99
Fe: 0.6875 0.6283 0.3774  4 O 1.97-2.06
Fe: 0.6875 0.8717 0.8774  4 O 1.97-2.06
Fe: 0.1875 0.1283 0.1226  4 O 1.97-2.06
Fe: 0.1875 0.3717 0.6226  4 O 1.97-2.06
Li: 0.6971 0.3173 0.1876  4 O 1.93-2.03
Li: 0.1971 0.8173 0.3124  4 O 1.93-2.03
Li: 0.1971 0.6827 0.8124  4 O 1.93-2.03
Li: 0.6971 0.1827 0.6876  4 O 1.93-2.03
P: 0.6954 0.5839 0.6697  4 O 1.55-1.56
P: 0.6954 0.9161 0.1697  4 O 1.55-1.56
P: 0.1954 0.4161 0.3303  4 O 1.55-1.56
P: 0.1954 0.0839 0.8303  4 O 1.55-1.56



Results for ΔH_f (0 K): -2278, -2089 (in meV per atom, following the order of the records).
Results for distance to the lowest polymorph of the same formula: 0.0089, 0.0039 (in eV/atom, following the order of the records).